1.
An optimized crystal structure of MnAlFeCo. Source: the Materials Project database, functional PBE-GGA.

Structure (POSCAR):
```
MnAlFeCo
1.0
-2.2945 -0.3457 3.2882
-3.3770 -2.1855 -0.1235
-0.1970 -3.5115 1.9561
Mn Al Fe Co
1 1 1 1
Direct
0.5000 0.5000 0.5000
0.0000 0.0000 0.0000
0.7500 0.7500 0.7500
0.2500 0.2500 0.2500
```

Properties
Magnetization: 3.00 μB/cell
Formation energy: -0.25 eV per atom

=====

2.
An optimized crystal structure of Gd2Al4CoGe2. Source: the Materials Project database, functional PBE-GGA.

Structure (POSCAR):
```
Gd2Al4CoGe2
1.0
-2.0738 2.0738 9.8139
2.0738 -2.0738 9.8139
2.0738 2.0738 -9.8139
Gd Al Co Ge
2 4 1 2
Direct
0.8163 0.8163 0.0000
0.1837 0.1837 0.0000
0.4346 0.9346 0.5000
0.9346 0.4346 0.5000
0.5654 0.0654 0.5000
0.0654 0.5654 0.5000
0.0000 0.0000 0.0000
0.6615 0.6615 0.0000
0.3385 0.3385 0.0000
```

Properties
Magnetization: 14.22 μB/cell
Formation energy: -0.65 eV per atom

=====

3.
An optimized crystal structure of Hf2Al3Co. Source: the Materials Project database, functional PBE-GGA.

Structure (POSCAR):
```
Hf2Al3Co
1.0
1.8282 2.5805 -4.1648
4.2405 -1.7534 -2.5078
-4.7880 -4.5454 -4.9180
Hf Al Co
4 6 2
Direct
0.3334 0.3333 0.5607
0.6666 0.6667 0.4393
0.6666 0.6667 0.0607
0.3334 0.3333 0.9393
0.8342 0.3317 0.7500
0.3317 0.8342 0.7500
0.8342 0.8341 0.7500
0.1658 0.6683 0.2500
0.6683 0.1658 0.2500
0.1658 0.1659 0.2500
0.0000 0.0000 0.5000
0.0000 0.0000 0.0000
```

Properties
Magnetization: 0.70 μB/cell
Formation energy: -0.49 eV per atom

=====

4.
An optimized crystal structure of Hf6Al2Co. Source: the Materials Project database, functional PBE-GGA.

Structure (POSCAR):
```
Hf6Al2Co
1.0
0.0000 0.0000 -3.2728
-3.9449 -6.8328 0.0000
-3.9445 6.8325 0.0000
Hf Al Co
6 2 1
Direct
0.5000 0.6013 0.0000
0.5000 0.3987 0.3987
0.5000 0.0000 0.6013
0.0000 0.2508 0.0000
0.0000 0.7491 0.7491
0.0000 0.0000 0.2509
0.0000 0.3333 0.6666
0.0000 0.6667 0.3334
0.5000 0.0000 0.0000
```

Properties
Formation energy: -0.34 eV per atom

=====

5.
An optimized crystal structure of HfAlCo. Source: the Materials Project database, functional PBE-GGA.

Structure (POSCAR):
```
HfAlCo
1.0
2.5775 -4.3892 0.0000
2.5775 4.3892 0.0000
0.0000 0.0000 8.0930
Hf Al Co
4 4 4
Direct
0.3340 0.6660 0.2065
0.6701 0.3299 0.3256
0.6701 0.3299 0.6744
0.3340 0.6660 0.7935
0.9941 0.0059 0.2653
0.9941 0.0059 0.7347
0.8317 0.6564 0.0000
0.3436 0.1683 0.0000
0.8316 0.1684 0.0000
0.1734 0.3472 0.5000
0.6528 0.8266 0.5000
0.1705 0.8295 0.5000
```

Properties
Magnetization: 0.01 μB/cell
Formation energy: -0.49 eV per atom

=====

6.
An optimized crystal structure of HoAlCo. Source: the Materials Project database, functional PBE-GGA.

Structure (POSCAR):
```
HoAlCo
1.0
-2.8427 4.4825 0.3069
0.5799 3.1431 4.2488
6.1343 4.1582 -3.9132
Ho Al Co
4 4 4
Direct
0.3335 0.3335 0.5469
0.6707 0.6707 0.4243
0.6707 0.6707 0.0757
0.3335 0.3335 0.9531
0.9955 0.9955 0.4797
0.9955 0.9955 0.0203
0.8339 0.3398 0.7500
0.3398 0.8339 0.7500
0.8324 0.8324 0.7500
0.1717 0.6505 0.2500
0.6506 0.1717 0.2500
0.1726 0.1726 0.2500
```

Properties
Magnetization: 0.78 μB/cell
Formation energy: -0.39 eV per atom